! Mg149Al | Materials Project | PBE | relaxed; values from VASP
! - Total moment: 0.000 μB per atom
! - Uncorrected energy: -1.642 eV/atom
&SYSTEM
  ibrav = 0, nat = 150, ntyp = 2
/
ATOMIC_SPECIES
Mg 24.30 Mg.upf
Al 26.98 Al.upf
CELL_PARAMETERS angstrom
13.787 -7.960 0.000
0.000 15.919 0.000
0.000 0.000 15.573
ATOMIC_POSITIONS angstrom
Mg 6.434 4.776 12.982
Mg 6.434 11.144 2.591
Mg 9.203 6.369 12.986
Mg 11.949 1.591 12.981
Mg 2.758 7.960 5.188
Mg 6.435 11.146 7.787
Mg 11.949 1.591 2.592
Mg 3.674 9.555 2.593
Mg 11.944 4.768 2.602
Mg 9.191 0.000 2.594
Mg 5.513 0.000 10.383
Mg 0.914 11.155 2.587
Mg 0.919 7.960 2.591
Mg 6.433 1.594 7.787
Mg 11.030 3.185 10.383
Mg 8.272 1.592 10.386
Mg 11.035 6.374 10.385
Mg 6.438 7.960 12.980
Mg 6.434 1.593 2.592
Mg 5.515 9.551 10.385
Mg 11.974 7.960 2.565
Mg 0.914 4.764 12.986
Mg 9.190 -3.184 12.981
Mg 6.438 7.960 7.787
Mg 2.756 11.146 5.186
Mg 2.756 11.146 10.387
Mg 8.274 7.960 10.387
Mg 2.756 4.774 10.387
Mg 9.190 -3.186 7.787
Mg 11.944 -4.768 12.971
Mg 11.068 6.377 0.000
Mg 3.674 6.364 7.787
Mg 3.685 0.000 12.971
Mg 9.191 0.000 7.787
Mg 0.000 0.000 5.184
Mg 3.669 3.174 12.986
Mg 2.730 1.563 0.000
Mg 2.758 7.960 10.385
Mg 6.434 1.593 12.981
Mg 11.034 -3.192 0.000
Mg 5.511 12.737 5.188
Mg 8.278 4.780 0.000
Mg 0.916 11.147 7.787
Mg 0.000 9.556 10.385
Mg 11.951 -4.780 7.787
Mg 13.775 4.814 0.000
Mg 5.516 9.554 0.000
Mg 0.906 14.350 13.008
Mg 11.035 9.546 5.188
Mg 11.953 7.960 7.787
Mg 5.515 9.551 5.188
Mg 2.749 1.590 5.188
Mg 3.674 9.555 12.980
Mg 0.000 0.000 10.389
Mg 11.034 3.192 0.000
Mg 11.030 3.185 5.190
Mg 0.002 12.744 5.188
Mg 2.756 4.774 5.186
Mg 9.203 6.369 2.587
Mg 6.435 4.774 7.787
Mg 6.434 11.144 12.982
Mg 0.919 7.960 12.982
Mg 8.272 1.592 5.187
Mg 13.775 -4.814 0.000
Mg 8.275 11.141 5.188
Mg 11.944 4.768 12.971
Mg 5.515 6.368 5.188
Mg 9.203 9.550 12.986
Mg 8.274 7.960 5.186
Mg 3.675 12.740 7.787
Mg 11.035 6.374 5.188
Mg 5.508 12.739 0.000
Mg 0.917 1.588 7.787
Mg 0.916 7.960 7.787
Mg 9.195 6.366 7.787
Mg 3.669 12.746 2.587
Mg 11.068 -6.377 0.000
Mg 5.511 12.737 10.385
Mg 11.949 -1.591 12.981
Mg 9.190 3.184 12.981
Mg 2.749 14.330 5.188
Mg 0.916 4.773 7.787
Mg 5.505 0.000 0.000
Mg 11.951 4.780 7.787
Mg 8.275 4.778 10.385
Mg 11.030 -3.185 10.383
Mg 2.754 7.960 0.000
Mg 5.516 6.365 0.000
Mg 8.270 -1.595 0.000
Mg 0.914 11.155 12.986
Mg 2.749 14.330 10.385
Mg 8.272 -1.592 10.386
Mg 5.511 3.182 10.385
Mg 0.000 6.364 5.188
Mg 3.675 3.179 7.787
Mg 6.434 -1.593 12.981
Mg 11.030 -3.185 5.190
Mg 3.674 6.364 2.593
Mg 11.949 -1.591 2.592
Mg 0.914 4.764 2.587
Mg 0.906 14.350 2.565
Mg 2.748 4.760 0.000
Mg 2.748 11.160 0.000
Mg 5.511 3.182 5.188
Mg 11.944 -4.768 2.602
Mg 2.730 -1.563 0.000
Mg 11.029 0.000 5.187
Mg 8.275 4.778 5.188
Mg 3.674 9.555 7.787
Mg 8.272 -1.592 5.187
Mg 5.508 3.181 0.000
Mg 0.000 6.364 10.385
Mg 9.191 0.000 12.979
Mg 0.002 3.176 10.385
Mg 0.001 6.360 0.000
Mg 11.032 0.000 0.000
Mg 5.513 0.000 5.190
Mg 6.434 -1.593 2.592
Mg 11.951 -1.591 7.787
Mg 3.685 0.000 2.602
Mg 0.000 9.556 5.188
Mg 8.278 11.139 0.000
Mg 8.291 7.960 0.000
Mg 9.190 3.184 2.592
Mg 0.906 1.570 2.565
Mg 0.002 3.176 5.188
Mg 0.906 1.570 13.008
Mg 8.275 11.141 10.385
Mg 9.195 9.553 7.787
Mg 0.917 14.331 7.787
Mg 3.674 6.364 12.980
Mg 5.515 6.368 10.385
Mg 6.438 7.960 2.593
Mg 2.749 1.590 10.385
Mg 9.203 9.550 2.587
Mg 11.029 0.000 10.386
Mg 11.951 1.591 7.787
Mg 9.190 -3.184 2.592
Mg 3.669 3.174 2.587
Mg 8.270 1.595 0.000
Mg 6.433 -1.594 7.787
Mg 11.035 9.546 10.385
Mg 0.001 9.559 0.000
Mg 9.190 3.186 7.787
Mg 0.002 12.744 10.385
Mg 11.974 7.960 13.008
Mg 6.434 4.776 2.591
Mg 3.669 12.746 12.986
Mg 3.672 0.000 7.787
Al 0.000 0.000 0.000